VAgHgO4: relaxed, PBE+U.

a b c (Å): 10.5946 5.5838 7.2541
angles (deg): 90.00 99.07 90.00
Space group C2 (No. 5)
Unique sites:
V  0.1868  0.0000  0.2301 [4 per cell]
Ag  0.1380  0.9865  0.7215 [4 per cell]
Hg  0.0000  0.4694  0.5000 [2 per cell]
Hg  0.0000  0.5055  0.0000 [2 per cell]
O  0.1187  0.8790  0.4078 [4 per cell]
O  0.1337  0.8503  0.0250 [4 per cell]
O  0.1391  0.4431  0.7324 [4 per cell]
O  0.1429  0.3044  0.2119 [4 per cell]

* final energy: -149.7 eV/cell
* energy relative to the elements: -1.4077 eV/atom
* E (MP2020): -167.5 eV for the cell shown
* M_tot: 0.00 μB per atom